# 1
YGe3 after structural relaxation. Source: the Materials Project database, functional GGA-PBE. Values from VASP.

Geometry as Quantum ESPRESSO input:
```
&SYSTEM
  ibrav = 0, nat = 8, ntyp = 2
/
ATOMIC_SPECIES
Y 88.91 Y.upf
Ge 72.64 Ge.upf
CELL_PARAMETERS angstrom
2.0622 0.9229 3.2307
-2.9002 -1.6287 2.3165
3.4191 -10.1235 0.7095
ATOMIC_POSITIONS angstrom
Y -0.1322 -2.1175 1.8920
Y 2.7133 -8.7117 4.3647
Ge -0.5401 -4.9245 2.9542
Ge 3.1211 -5.9047 3.3025
Ge -0.9715 -1.6670 4.7043
Ge 3.5526 -9.1622 1.5524
Ge 1.9598 -3.6845 3.4096
Ge 0.6212 -7.1448 2.8472
```

calculated formation energy = -0.46 eV/atom
mass density = 6.06 Mg/m³
space-group type = Cmcm, No. 63



# 2
ErS after structural relaxation. Source: the Materials Project database, functional GGA-PBE. Values from VASP.

Geometry as Quantum ESPRESSO input:
```
&SYSTEM
  ibrav = 0, nat = 2, ntyp = 2
/
ATOMIC_SPECIES
Er 167.26 Er.upf
S 32.06 S.upf
CELL_PARAMETERS angstrom
0.0000 2.7322 2.7322
2.7322 0.0000 2.7322
2.7322 2.7322 0.0000
ATOMIC_POSITIONS angstrom
Er 0.0000 0.0000 0.0000
S 2.7322 2.7322 2.7322
```

calculated formation energy = -2.20 eV/atom
corrected total energy (MP2020 scheme) = -13.1 eV per formula unit
mass density = 8.11 Mg/m³
space-group type = Fm-3m, No. 225



# 3
Ti2Sn3 after structural relaxation. Source: the Materials Project database, functional GGA-PBE. Values from VASP.

Geometry as Quantum ESPRESSO input:
```
&SYSTEM
  ibrav = 0, nat = 20, ntyp = 2
/
ATOMIC_SPECIES
Ti 47.87 Ti.upf
Sn 118.71 Sn.upf
CELL_PARAMETERS angstrom
7.6006 7.1520 1.0367
-9.2043 -3.5970 3.5126
3.3814 -4.2473 4.5109
ATOMIC_POSITIONS angstrom
Ti -4.6275 -6.7716 7.6067
Ti -1.4110 -2.2746 7.1995
Ti 2.3869 3.3598 4.1354
Ti 3.1887 1.5823 1.8607
Ti 2.4093 0.3183 4.5468
Ti -0.6092 -4.0521 4.9249
Ti 6.4052 6.0793 1.4535
Ti -0.6316 -1.0107 4.5134
Sn -2.2951 -5.1202 7.1384
Sn 6.9903 4.0312 3.2602
Sn 4.9100 1.7583 4.3031
Sn -3.1323 -2.4506 4.7572
Sn -0.0096 1.8269 4.4885
Sn -5.2125 -4.7235 5.8000
Sn -2.6021 0.1513 2.9108
Sn 0.9855 -0.7417 6.8464
Sn 4.0728 4.4279 1.9218
Sn 0.7922 0.0494 2.2138
Sn 1.7873 -2.5192 4.5718
Sn 4.3799 -0.8436 6.1494
```

calculated formation energy = -0.31 eV/atom
mass density = 7.06 Mg/m³
space-group type = Cmce, No. 64